## Rb2TlNiF6 (PBE+U)

Data for a relaxed structure of Rb2TlNiF6.

Cell lengths 6.304, 6.304, 6.304 Å; angles 60.00, 60.00, 60.00 degrees
Positions (direct):
Rb1 0.250 0.250 0.250
Rb2 0.750 0.750 0.750
Tl1 0.000 0.000 0.000
Ni1 0.500 0.500 0.500
F1 0.282 0.282 0.718
F2 0.282 0.718 0.282
F3 0.282 0.718 0.718
F4 0.718 0.282 0.282
F5 0.718 0.282 0.718
F6 0.718 0.718 0.282

Summary:
ΔE_f = -2.469 eV/atom
symmetry = No. 225